First-principles (PBE) data for a relaxed MoWSeS3 crystal, as listed in the Materials Project.

## Properties
- MP2020-corrected energy: -0.28060 Ha/atom
- Size of the total moment: 0.0 μB per formula unit
- Space-group type: P3m1

abc: 3.2219 3.2219 36.3905
angles: 90.00 90.00 120.00
Fractional positions:
Mo (0.0000, 0.0000, 0.0000)
Mo (0.3333, 0.6667, 0.1879)
W (0.0000, 0.0000, 0.3757)
W (0.3333, 0.6667, 0.5636)
Se (0.0000, 0.0000, 0.5163)
Se (0.0000, 0.0000, 0.6110)
S (0.0000, 0.0000, 0.1451)
S (0.0000, 0.0000, 0.2306)
S (0.3333, 0.6667, 0.0428)
S (0.3333, 0.6667, 0.3328)
S (0.3333, 0.6667, 0.4186)
S (0.3333, 0.6667, 0.9572)



First-principles (PBE) data for a relaxed Ca2CdGa crystal, as listed in the Materials Project.

## Properties
- Space-group type: Fm-3m

abc: 7.5179 7.5179 7.5179
angles: 90.00 90.00 90.00
Fractional positions:
Ca (0.2500, 0.2500, 0.2500)
Ca (0.2500, 0.2500, 0.7500)
Ca (0.2500, 0.7500, 0.2500)
Ca (0.2500, 0.7500, 0.7500)
Ca (0.7500, 0.2500, 0.2500)
Ca (0.7500, 0.2500, 0.7500)
Ca (0.7500, 0.7500, 0.2500)
Ca (0.7500, 0.7500, 0.7500)
Cd (0.0000, 0.0000, 0.0000)
Cd (0.0000, 0.5000, 0.5000)
Cd (0.5000, 0.0000, 0.5000)
Cd (0.5000, 0.5000, 0.0000)
Ga (0.0000, 0.0000, 0.5000)
Ga (0.0000, 0.5000, 0.0000)
Ga (0.5000, 0.0000, 0.0000)
Ga (0.5000, 0.5000, 0.5000)



First-principles (PBE) data for a relaxed CeMg3 crystal, as listed in the Materials Project.

## Properties
- Space-group type: Fm-3m

abc: 7.3861 7.3861 7.3861
angles: 90.00 90.00 90.00
Fractional positions:
Ce (0.0000, 0.0000, 0.0000)
Ce (0.0000, 0.5000, 0.5000)
Ce (0.5000, 0.0000, 0.5000)
Ce (0.5000, 0.5000, 0.0000)
Mg (0.0000, 0.0000, 0.5000)
Mg (0.0000, 0.5000, 0.0000)
Mg (0.2500, 0.2500, 0.2500)
Mg (0.2500, 0.2500, 0.7500)
Mg (0.2500, 0.7500, 0.2500)
Mg (0.2500, 0.7500, 0.7500)
Mg (0.5000, 0.0000, 0.0000)
Mg (0.5000, 0.5000, 0.5000)
Mg (0.7500, 0.2500, 0.2500)
Mg (0.7500, 0.2500, 0.7500)
Mg (0.7500, 0.7500, 0.2500)
Mg (0.7500, 0.7500, 0.7500)



Number 1: energy of formation -1.02 eV/atom. Number 2: energy of formation -0.40 eV/atom. Number 3: energy of formation -0.03 eV/atom.